(1)
DFT (GGA+U) results for a relaxed MoAs2O7 crystal.

Final energy: -6.4085 eV/atom
Energy relative to the lowest polymorph listed for this composition: 0.0000 eV/atom
Energy relative to the elements: -1730 meV/atom

a b c (Å): 4.6814 8.1050 17.4350
angles (deg): 71.69 90.00 90.00
Closest atoms and distances in Å follow each position.
Positions (direct):
Mo (0.0030, 0.0623, 0.0965)  2 O 1.72
Mo (0.5030, 0.9377, 0.4035)  2 O 1.72
Mo (0.9970, 0.9377, 0.9035)  2 O 1.72
Mo (0.4970, 0.0623, 0.5965)  2 O 1.72
As (0.5521, 0.4103, 0.2112)  3 O 1.80-1.88
As (0.0521, 0.5897, 0.2888)  3 O 1.80-1.88
As (0.4479, 0.5897, 0.7888)  3 O 1.80-1.88
As (0.9479, 0.4103, 0.7112)  3 O 1.80-1.88
As (0.4556, 0.7749, 0.0573)  4 O 1.72-1.74
As (0.9556, 0.2251, 0.4427)  4 O 1.72-1.74
As (0.0444, 0.7749, 0.5573)  4 O 1.72-1.74
As (0.5444, 0.2251, 0.9427)  4 O 1.72-1.74
O (0.1864, 0.4429, 0.2353)  2 As 1.80-1.84
O (0.6864, 0.5571, 0.2647)  2 As 1.80-1.84
O (0.8136, 0.5571, 0.7647)  2 As 1.80-1.84
O (0.3136, 0.4429, 0.7353)  2 As 1.80-1.84
O (0.7879, 0.9806, 0.1795)  1 Mo 1.72
O (0.2879, 0.0194, 0.3205)  1 Mo 1.72
O (0.2121, 0.0194, 0.8205)  1 Mo 1.72
O (0.7121, 0.9806, 0.6795)  1 Mo 1.72
O (0.2527, 0.7572, 0.9778)  1 As 1.72
O (0.7527, 0.2428, 0.5222)  1 As 1.72
O (0.7473, 0.2428, 0.0222)  1 As 1.72
O (0.2473, 0.7572, 0.4778)  1 As 1.72
O (0.2480, 0.8447, 0.6240)  1 As 1.73
O (0.7480, 0.1553, 0.8760)  1 As 1.73
O (0.7520, 0.1553, 0.3760)  1 As 1.73
O (0.2520, 0.8447, 0.1240)  1 As 1.73
O (0.9248, 0.5668, 0.6056)  2 As 1.72-1.88
O (0.4248, 0.4332, 0.8944)  2 As 1.72-1.88
O (0.0752, 0.4332, 0.3944)  2 As 1.72-1.88
O (0.5752, 0.5668, 0.1056)  2 As 1.72-1.88
O (0.7566, 0.9032, 0.0246)  1 As 1.74
O (0.7780, 0.7921, 0.8787)  1 Mo 1.72
O (0.7220, 0.7921, 0.3787)  1 Mo 1.72
O (0.2220, 0.2079, 0.1213)  1 Mo 1.72
O (0.7434, 0.9032, 0.5246)  1 As 1.74
O (0.2434, 0.0968, 0.9754)  1 As 1.74
O (0.2566, 0.0968, 0.4754)  1 As 1.74
O (0.2780, 0.2079, 0.6213)  1 Mo 1.72



(2)
DFT (GGA+U) results for a relaxed MoAsO6 crystal.

Final energy: -6.2173 eV/atom
Energy relative to the elements: -968 meV/atom

a b c (Å): 7.3773 12.6794 12.3388
angles (deg): 90.00 104.88 90.00
Closest atoms and distances in Å follow each position.
Positions (direct):
Mo (0.6192, 0.2716, 0.7799)  3 O 1.72-1.92
Mo (0.3808, 0.7716, 0.7201)  3 O 1.72-1.92
Mo (0.3808, 0.7284, 0.2201)  3 O 1.72-1.92
Mo (0.6192, 0.2284, 0.2799)  3 O 1.72-1.92
Mo (0.1784, 0.2841, 0.5858)  3 O 1.72-1.92
Mo (0.8216, 0.7841, 0.9142)  3 O 1.72-1.92
Mo (0.8216, 0.7159, 0.4142)  3 O 1.72-1.92
Mo (0.1784, 0.2159, 0.0858)  3 O 1.72-1.92
As (0.2056, 0.3587, 0.3259)  3 O 1.81-1.89
As (0.7944, 0.8587, 0.1741)  3 O 1.81-1.89
As (0.7944, 0.6413, 0.6741)  3 O 1.81-1.89
As (0.2056, 0.1413, 0.8259)  3 O 1.81-1.89
As (0.6123, 0.1472, 0.0127)  3 O 1.82-1.87
As (0.3877, 0.6472, 0.4873)  3 O 1.82-1.87
As (0.3877, 0.8528, 0.9873)  3 O 1.82-1.87
As (0.6123, 0.3528, 0.5127)  3 O 1.82-1.87
O (0.9962, 0.2022, 0.5968)  1 Mo 1.73
O (0.0038, 0.7022, 0.9032)  1 Mo 1.73
O (0.0038, 0.7978, 0.4032)  1 Mo 1.73
O (0.9962, 0.2978, 0.0968)  1 Mo 1.73
O (0.4798, 0.2975, 0.6100)  1 As 1.87
O (0.5202, 0.7975, 0.8900)  1 As 1.87
O (0.5202, 0.7025, 0.3900)  1 As 1.87
O (0.4798, 0.2025, 0.1100)  1 As 1.87
O (0.1038, 0.4111, 0.5957)  1 Mo 1.72
O (0.8962, 0.9111, 0.9043)  1 Mo 1.72
O (0.8962, 0.5889, 0.4043)  1 Mo 1.72
O (0.1038, 0.0889, 0.0957)  1 Mo 1.72
O (0.7681, 0.3758, 0.7752)  1 Mo 1.73
O (0.2319, 0.8758, 0.7248)  1 Mo 1.73
O (0.2319, 0.6242, 0.2248)  1 Mo 1.73
O (0.7681, 0.1242, 0.2752)  1 Mo 1.73
O (0.7431, 0.1581, 0.7737)  1 Mo 1.72
O (0.2569, 0.6581, 0.7263)  1 Mo 1.72
O (0.2569, 0.8419, 0.2263)  1 Mo 1.72
O (0.7431, 0.3419, 0.2737)  1 Mo 1.72
O (0.3222, 0.2365, 0.7472)  1 As 1.89, 1 Mo 2.09
O (0.6778, 0.7365, 0.7528)  1 As 1.89, 1 Mo 2.09
O (0.6778, 0.7635, 0.2528)  1 As 1.89, 1 Mo 2.09
O (0.3222, 0.2635, 0.2472)  1 As 1.89, 1 Mo 2.09
O (0.1691, 0.2666, 0.4300)  1 As 1.81, 1 Mo 1.92
O (0.8309, 0.7666, 0.0700)  1 As 1.81, 1 Mo 1.92
O (0.8309, 0.7334, 0.5700)  1 As 1.81, 1 Mo 1.92
O (0.1691, 0.2334, 0.9300)  1 As 1.81, 1 Mo 1.92
O (0.4180, 0.4186, 0.4134)  2 As 1.82-1.83
O (0.5820, 0.9186, 0.0866)  2 As 1.82-1.83
O (0.5820, 0.5814, 0.5866)  2 As 1.82-1.83
O (0.4180, 0.0814, 0.9134)  2 As 1.82-1.83
O (0.6071, 0.2684, 0.9334)  1 As 1.82, 1 Mo 1.92
O (0.3929, 0.7684, 0.5666)  1 As 1.82, 1 Mo 1.92
O (0.3929, 0.7316, 0.0666)  1 As 1.82, 1 Mo 1.92
O (0.6071, 0.2316, 0.4334)  1 As 1.82, 1 Mo 1.92
O (0.5429, 0.5116, 0.8661)  1 O 1.30
O (0.4571, 0.0116, 0.6339)  1 O 1.30
O (0.4571, 0.4884, 0.1339)  1 O 1.30
O (0.5429, 0.9884, 0.3661)  1 O 1.30
O (0.3154, 0.0447, 0.5559)  2 O 1.28-1.30
O (0.6846, 0.5447, 0.9441)  2 O 1.28-1.30
O (0.6846, 0.9553, 0.4441)  2 O 1.28-1.30
O (0.3154, 0.4553, 0.0559)  2 O 1.28-1.30
O (0.2770, 0.5009, 0.9601)  1 O 1.28
O (0.7230, 0.0009, 0.5399)  1 O 1.28
O (0.7230, 0.4991, 0.0399)  1 O 1.28
O (0.2770, 0.9991, 0.4601)  1 O 1.28



(3)
DFT (GGA+U) results for a relaxed Rb2Mo3As4O22 crystal.

Final energy: -6.2203 eV/atom
Energy relative to the elements: -1419 meV/atom

a b c (Å): 11.8902 11.8902 9.6449
angles (deg): 83.19 83.19 50.22
Closest atoms and distances in Å follow each position.
Positions (direct):
Rb (0.6437, 0.1073, 0.6244)  6 O 2.96-3.29
Rb (0.8927, 0.3563, 0.8756)  6 O 2.96-3.29
Rb (0.3563, 0.8927, 0.3756)  6 O 2.96-3.29
Rb (0.1073, 0.6437, 0.1244)  6 O 2.96-3.29
Mo (0.6656, 0.9758, 0.2276)  2 O 1.73
Mo (0.0242, 0.3344, 0.2724)  2 O 1.73
Mo (0.3344, 0.0242, 0.7724)  2 O 1.73
Mo (0.9758, 0.6656, 0.7276)  2 O 1.73
Mo (0.5509, 0.4491, 0.2500)  2 O 1.73
Mo (0.4491, 0.5509, 0.7500)  2 O 1.73
As (0.3191, 0.1991, 0.0577)  4 O 1.69-1.80
As (0.8009, 0.6809, 0.4423)  4 O 1.69-1.80
As (0.6809, 0.8009, 0.9423)  4 O 1.69-1.80
As (0.1991, 0.3191, 0.5577)  4 O 1.69-1.80
As (0.5255, 0.2841, 0.0105)  4 O 1.69-1.77
As (0.7159, 0.4745, 0.4895)  4 O 1.69-1.77
As (0.4745, 0.7159, 0.9895)  4 O 1.69-1.77
As (0.2841, 0.5255, 0.5105)  4 O 1.69-1.77
O (0.2431, 0.1744, 0.9400)  1 As 1.69
O (0.8256, 0.7569, 0.5600)  1 As 1.69
O (0.7569, 0.8256, 0.0600)  1 As 1.69
O (0.1744, 0.2431, 0.4400)  1 As 1.69
O (0.1792, 0.3394, 0.1624)  1 As 1.74
O (0.6606, 0.8208, 0.3376)  1 As 1.74
O (0.8208, 0.6606, 0.8376)  1 As 1.74
O (0.3394, 0.1792, 0.6624)  1 As 1.74
O (0.4561, 0.0463, 0.1469)  1 As 1.69
O (0.9537, 0.5439, 0.3531)  1 As 1.69
O (0.5439, 0.9537, 0.8531)  1 As 1.69
O (0.0463, 0.4561, 0.6469)  1 As 1.69
O (0.3856, 0.2863, 0.9592)  2 As 1.77-1.80
O (0.7137, 0.6144, 0.5408)  2 As 1.77-1.80
O (0.6144, 0.7137, 0.0408)  2 As 1.77-1.80
O (0.2863, 0.3856, 0.4592)  2 As 1.77-1.80
O (0.6634, 0.1084, 0.0686)  1 As 1.71
O (0.8916, 0.3366, 0.4314)  1 As 1.71
O (0.3366, 0.8916, 0.9314)  1 As 1.71
O (0.1084, 0.6634, 0.5686)  1 As 1.71
O (0.5819, 0.3300, 0.8618)  1 As 1.69
O (0.6700, 0.4181, 0.6382)  1 As 1.69
O (0.4181, 0.6700, 0.1382)  1 As 1.69
O (0.3300, 0.5819, 0.3618)  1 As 1.69
O (0.4434, 0.4069, 0.1412)  1 As 1.73
O (0.5931, 0.5566, 0.3588)  1 As 1.73
O (0.5566, 0.5931, 0.8588)  1 As 1.73
O (0.4069, 0.4434, 0.6412)  1 As 1.73
O (0.5548, 0.1094, 0.3470)  1 Mo 1.73
O (0.8906, 0.4452, 0.1530)  1 Mo 1.73
O (0.4452, 0.8906, 0.6530)  1 Mo 1.73
O (0.1094, 0.5548, 0.8470)  1 Mo 1.73
O (0.8414, 0.8945, 0.2707)  1 Mo 1.73
O (0.1055, 0.1586, 0.2293)  1 Mo 1.73
O (0.1586, 0.1055, 0.7293)  1 Mo 1.73
O (0.8945, 0.8414, 0.7707)  1 Mo 1.73
O (0.6937, 0.3788, 0.1240)  1 Mo 1.73
O (0.6212, 0.3063, 0.3760)  1 Mo 1.73
O (0.3063, 0.6212, 0.8760)  1 Mo 1.73
O (0.3788, 0.6937, 0.6240)  1 Mo 1.73
O (0.9665, 0.0325, 0.5537)  1 O 1.23
O (0.9675, 0.0335, 0.9463)  1 O 1.23
O (0.0335, 0.9675, 0.4463)  1 O 1.23
O (0.0325, 0.9665, 0.0537)  1 O 1.23



(4)
DFT (GGA+U) results for a relaxed ZnMoAsO5 crystal.

Final energy: -6.1111 eV/atom
Energy relative to the elements: -1753 meV/atom

a b c (Å): 6.6503 7.8996 8.5667
angles (deg): 89.90 90.00 90.00
Closest atoms and distances in Å follow each position.
Positions (direct):
Zn (0.2483, 0.9667, 0.8125)  2 O 1.90-1.93
Zn (0.7485, 0.5166, 0.3095)  2 O 1.88-1.92
Zn (0.2485, 0.4834, 0.6905)  2 O 1.88-1.92
Zn (0.7483, 0.0333, 0.1875)  2 O 1.90-1.93
Mo (0.5000, 0.0008, 0.5008)  6 O 2.11-2.21
Mo (0.4984, 0.5002, 0.9997)  6 O 2.12-2.20
Mo (0.9984, 0.4998, 0.0003)  6 O 2.12-2.20
Mo (0.0000, 0.9992, 0.4992)  6 O 2.11-2.21
As (0.7474, 0.3632, 0.6640)  4 O 1.70-1.74
As (0.2530, 0.1385, 0.1642)  4 O 1.70-1.75
As (0.7530, 0.8615, 0.8358)  4 O 1.70-1.75
As (0.2474, 0.6368, 0.3360)  4 O 1.70-1.74
O (0.7500, 0.1654, 0.5738)  1 As 1.74
O (0.2490, 0.3339, 0.0685)  1 As 1.75
O (0.7490, 0.6661, 0.9315)  1 As 1.75
O (0.2500, 0.8346, 0.4262)  1 As 1.74
O (0.7423, 0.5218, 0.5293)  1 As 1.70, 1 Zn 1.88
O (0.2673, 0.9769, 0.0337)  1 As 1.70, 1 Zn 1.90
O (0.7673, 0.0231, 0.9663)  1 As 1.70, 1 Zn 1.90
O (0.2423, 0.4782, 0.4707)  1 As 1.70, 1 Zn 1.88
O (0.9637, 0.3773, 0.7738)  1 As 1.72
O (0.0365, 0.1283, 0.2740)  1 As 1.72
O (0.5365, 0.8717, 0.7260)  1 As 1.72
O (0.4637, 0.6227, 0.2262)  1 As 1.72
O (0.5318, 0.3746, 0.7751)  1 As 1.72
O (0.4663, 0.1345, 0.2785)  1 As 1.72
O (0.9663, 0.8655, 0.7215)  1 As 1.72
O (0.0318, 0.6254, 0.2249)  1 As 1.72
O (0.2488, 0.0983, 0.6226)  1 Zn 1.93, 2 Mo 2.11-2.12
O (0.7487, 0.3923, 0.1178)  1 Zn 1.92, 2 Mo 2.12-2.13
O (0.2487, 0.6077, 0.8822)  1 Zn 1.92, 2 Mo 2.12-2.13
O (0.7488, 0.9017, 0.3774)  1 Zn 1.93, 2 Mo 2.11-2.12